A | The following is a DFT calculation (PBE+U) of a geometry-optimized Li2Fe3SbO8 structure.

Results
Space group: P4_332
Total moment (μB/cell): 60.002

abc: 8.607 8.607 8.607
angles: 90.00 90.00 90.00
Element x y z (fractional)
Li 0.002 0.002 0.002
Li 0.248 0.248 0.248
Li 0.252 0.752 0.748
Li 0.498 0.998 0.502
Li 0.502 0.498 0.998
Li 0.748 0.252 0.752
Li 0.752 0.748 0.252
Li 0.998 0.502 0.498
Fe 0.116 0.134 0.625
Fe 0.125 0.384 0.866
Fe 0.134 0.625 0.116
Fe 0.366 0.375 0.616
Fe 0.375 0.616 0.366
Fe 0.384 0.866 0.125
Fe 0.616 0.366 0.375
Fe 0.625 0.116 0.134
Fe 0.634 0.875 0.884
Fe 0.866 0.125 0.384
Fe 0.875 0.884 0.634
Fe 0.884 0.634 0.875
Sb 0.125 0.875 0.375
Sb 0.375 0.125 0.875
Sb 0.625 0.625 0.625
Sb 0.875 0.375 0.125
O 0.114 0.110 0.386
O 0.114 0.886 0.610
O 0.116 0.616 0.884
O 0.140 0.136 0.864
O 0.110 0.386 0.114
O 0.134 0.366 0.634
O 0.136 0.640 0.364
O 0.136 0.864 0.140
O 0.364 0.136 0.640
O 0.364 0.360 0.864
O 0.366 0.634 0.134
O 0.390 0.614 0.614
O 0.360 0.864 0.364
O 0.384 0.384 0.384
O 0.386 0.114 0.110
O 0.386 0.890 0.886
O 0.614 0.390 0.614
O 0.614 0.614 0.390
O 0.616 0.884 0.116
O 0.640 0.364 0.136
O 0.610 0.114 0.886
O 0.634 0.134 0.366
O 0.636 0.860 0.636
O 0.636 0.636 0.860
O 0.864 0.364 0.360
O 0.864 0.140 0.136
O 0.866 0.866 0.866
O 0.890 0.886 0.386
O 0.860 0.636 0.636
O 0.884 0.116 0.616
O 0.886 0.386 0.890
O 0.886 0.610 0.114

***

B | The following is a DFT calculation (PBE+U) of a geometry-optimized Li2Fe3SbO8 structure.

Results
Total moment (μB/cell): 0.000

abc: 6.050 10.659 6.038
angles: 73.54 119.93 89.94
Element x y z (fractional)
Li 0.934 0.198 0.868
Li 0.434 0.698 0.868
Li 0.566 0.302 0.132
Li 0.066 0.802 0.132
Fe 0.500 0.000 0.000
Fe 0.500 0.000 0.500
Fe 0.500 0.500 0.500
Fe 0.000 0.500 0.000
Fe 0.000 0.500 0.500
Fe 0.000 0.000 0.500
Sb 0.750 0.750 0.500
Sb 0.250 0.250 0.500
O 0.865 0.400 0.733
O 0.365 0.900 0.733
O 0.635 0.100 0.267
O 0.135 0.600 0.267
O 0.094 0.624 0.735
O 0.594 0.124 0.735
O 0.641 0.625 0.735
O 0.141 0.125 0.735
O 0.641 0.625 0.281
O 0.141 0.125 0.281
O 0.859 0.875 0.719
O 0.359 0.375 0.719
O 0.859 0.875 0.265
O 0.359 0.375 0.265
O 0.406 0.876 0.265
O 0.906 0.376 0.265

***

The structure with the least stability is B.

***

A | The following is a DFT calculation (PBE+U) of a geometry-optimized Li4Ti3Fe3Sb2O16 structure.

Results
Space group: P1
Total moment (μB/cell): 12.000

abc: 6.006 5.972 9.903
angles: 89.96 90.56 119.76
Element x y z (fractional)
Li 0.326 0.663 0.900
Li 0.992 0.995 0.987
Li 0.004 0.001 0.492
Li 0.665 0.333 0.405
Ti 0.180 0.835 0.214
Ti 0.174 0.339 0.218
Ti 0.343 0.172 0.720
Fe 0.654 0.833 0.211
Fe 0.836 0.656 0.710
Fe 0.836 0.180 0.710
Sb 0.343 0.671 0.491
Sb 0.679 0.341 0.986
O 0.173 0.838 0.598
O 0.040 0.520 0.337
O 0.303 0.648 0.105
O 0.013 0.007 0.305
O 0.014 0.007 0.801
O 0.173 0.334 0.597
O 0.470 0.963 0.344
O 0.472 0.510 0.341
O 0.331 0.165 0.102
O 0.681 0.840 0.590
O 0.508 0.474 0.847
O 0.508 0.036 0.847
O 0.640 0.320 0.606
O 0.841 0.675 0.098
O 0.960 0.480 0.849
O 0.839 0.164 0.097

***

B | The following is a DFT calculation (PBE+U) of a geometry-optimized Li4Ti3Fe3Sb2O16 structure.

Results
Space group: P1
Total moment (μB/cell): 12.002

abc: 6.013 6.047 9.857
angles: 90.60 90.49 119.53
Element x y z (fractional)
Li 0.660 0.324 0.901
Li 0.999 0.995 0.987
Li 0.002 0.006 0.491
Li 0.329 0.662 0.404
Ti 0.348 0.181 0.215
Ti 0.833 0.176 0.217
Ti 0.170 0.341 0.717
Fe 0.826 0.657 0.209
Fe 0.174 0.835 0.712
Fe 0.659 0.833 0.713
Sb 0.676 0.345 0.494
Sb 0.336 0.676 0.987
O 0.335 0.171 0.603
O 0.522 0.038 0.335
O 0.650 0.298 0.105
O 0.012 0.020 0.301
O 0.015 0.016 0.803
O 0.852 0.181 0.599
O 0.498 0.462 0.342
O 0.961 0.465 0.339
O 0.169 0.339 0.098
O 0.854 0.684 0.590
O 0.034 0.511 0.846
O 0.465 0.505 0.852
O 0.313 0.640 0.607
O 0.172 0.840 0.094
O 0.467 0.958 0.850
O 0.670 0.840 0.093

***

The structure with the least stability is A.

***

A | The following is a DFT calculation (PBE+U) of a geometry-optimized Li4V3Fe3Sb2O16 structure.

Results
Space group: P1
Total moment (μB/cell): 15.000

abc: 6.004 6.009 9.777
angles: 89.49 89.59 119.68
Element x y z (fractional)
Li 0.344 0.673 0.902
Li 0.995 0.999 0.990
Li 0.993 0.994 0.489
Li 0.676 0.341 0.400
V 0.653 0.827 0.220
V 0.826 0.651 0.720
V 0.823 0.170 0.713
Fe 0.165 0.824 0.212
Fe 0.169 0.342 0.211
Fe 0.337 0.164 0.711
Sb 0.326 0.662 0.490
Sb 0.663 0.327 0.991
O 0.158 0.827 0.593
O 0.043 0.532 0.348
O 0.372 0.699 0.106
O 0.975 0.978 0.300
O 0.974 0.974 0.801
O 0.152 0.326 0.589
O 0.489 0.965 0.346
O 0.494 0.533 0.349
O 0.329 0.156 0.091
O 0.658 0.826 0.597
O 0.531 0.489 0.848
O 0.535 0.041 0.848
O 0.692 0.367 0.606
O 0.831 0.660 0.097
O 0.967 0.491 0.846
O 0.830 0.163 0.094

***

B | The following is a DFT calculation (PBE+U) of a geometry-optimized Li4V3Fe3Sb2O16 structure.

Results
Space group: P1
Total moment (μB/cell): 15.000

abc: 5.955 5.882 9.779
angles: 90.00 89.42 119.49
Element x y z (fractional)
Li 0.344 0.672 0.899
Li 0.997 0.998 0.990
Li 0.996 0.997 0.489
Li 0.673 0.337 0.397
V 0.655 0.828 0.223
V 0.826 0.645 0.718
V 0.825 0.179 0.716
Fe 0.161 0.813 0.209
Fe 0.161 0.348 0.209
Fe 0.335 0.167 0.712
Sb 0.331 0.666 0.490
Sb 0.661 0.330 0.993
O 0.157 0.830 0.595
O 0.040 0.521 0.350
O 0.376 0.689 0.106
O 0.976 0.987 0.300
O 0.975 0.985 0.800
O 0.156 0.326 0.594
O 0.491 0.965 0.347
O 0.491 0.526 0.347
O 0.326 0.162 0.093
O 0.663 0.831 0.598
O 0.532 0.491 0.846
O 0.533 0.041 0.845
O 0.685 0.347 0.604
O 0.832 0.665 0.096
O 0.968 0.486 0.847
O 0.833 0.166 0.096

***

The structure with the least stability is B.

***

A | The following is a DFT calculation (PBE+U) of a geometry-optimized LiSc4Fe4O12 structure.

Results
Space group: P1
Total moment (μB/cell): 19.000

abc: 5.135 5.519 7.862
angles: 90.40 88.20 91.46
Element x y z (fractional)
Li 0.062 0.706 0.213
Sc 0.010 0.930 0.762
Sc 0.448 0.421 0.753
Sc 0.537 0.559 0.248
Sc 0.942 0.110 0.242
Fe 0.973 0.474 0.962
Fe 0.990 0.490 0.514
Fe 0.489 0.983 0.001
Fe 0.485 0.988 0.501
O 0.162 0.419 0.279
O 0.185 0.192 0.594
O 0.186 0.165 0.934
O 0.291 0.695 0.592
O 0.312 0.666 0.939
O 0.333 0.920 0.256
O 0.642 0.068 0.749
O 0.678 0.295 0.084
O 0.686 0.295 0.421
O 0.808 0.816 0.067
O 0.801 0.794 0.403
O 0.817 0.575 0.735

***

B | The following is a DFT calculation (PBE+U) of a geometry-optimized LiSc4Fe4O12 structure.

Results
Space group: P1
Total moment (μB/cell): 19.000

abc: 5.238 5.237 8.437
angles: 88.66 93.98 93.20
Element x y z (fractional)
Li 0.754 0.017 0.927
Sc 0.088 0.935 0.715
Sc 0.482 0.470 0.795
Sc 0.567 0.557 0.227
Sc 0.008 0.040 0.301
Fe 0.010 0.524 0.002
Fe 0.927 0.441 0.562
Fe 0.354 0.061 0.065
Fe 0.521 0.981 0.497
O 0.199 0.362 0.187
O 0.186 0.179 0.528
O 0.166 0.233 0.869
O 0.316 0.688 0.611
O 0.319 0.744 0.931
O 0.364 0.875 0.284
O 0.705 0.166 0.686
O 0.666 0.334 0.026
O 0.720 0.276 0.376
O 0.851 0.807 0.118
O 0.817 0.764 0.455
O 0.842 0.647 0.780

***

The structure with the least stability is A.

***

A | The following is a DFT calculation (PBE+U) of a geometry-optimized Li2FeSiO4 structure.

Results
Space group: P2_1/c
Total moment (μB/cell): 16.000

abc: 5.264 6.917 10.263
angles: 89.31 90.00 90.00
Element x y z (fractional)
Li 0.237 0.004 0.845
Li 0.263 0.004 0.345
Li 0.371 0.225 0.651
Li 0.129 0.225 0.151
Li 0.871 0.775 0.849
Li 0.629 0.775 0.349
Li 0.737 0.996 0.655
Li 0.763 0.996 0.155
Fe 0.253 0.497 0.859
Fe 0.753 0.503 0.641
Fe 0.247 0.497 0.359
Fe 0.747 0.503 0.141
Si 0.740 0.240 0.898
Si 0.760 0.240 0.398
Si 0.240 0.760 0.602
Si 0.260 0.760 0.102
O 0.864 0.050 0.834
O 0.636 0.050 0.334
O 0.430 0.247 0.866
O 0.709 0.248 0.558
O 0.070 0.247 0.366
O 0.861 0.448 0.836
O 0.791 0.248 0.058
O 0.639 0.448 0.336
O 0.361 0.552 0.664
O 0.209 0.752 0.942
O 0.139 0.552 0.164
O 0.930 0.753 0.634
O 0.291 0.752 0.442
O 0.570 0.753 0.134
O 0.364 0.950 0.666
O 0.136 0.950 0.166

***

B | The following is a DFT calculation (PBE+U) of a geometry-optimized Li2FeSiO4 structure.

Results
Space group: Pnma
Total moment (μB/cell): 16.000

abc: 5.042 6.335 10.762
angles: 90.00 90.00 90.00
Element x y z (fractional)
Li 0.683 0.999 0.412
Li 0.317 0.001 0.588
Li 0.183 0.499 0.088
Li 0.817 0.501 0.912
Li 0.683 0.501 0.412
Li 0.317 0.499 0.588
Li 0.817 0.999 0.912
Li 0.183 0.001 0.088
Fe 0.186 0.750 0.338
Fe 0.314 0.750 0.838
Fe 0.686 0.250 0.162
Fe 0.814 0.250 0.662
Si 0.675 0.750 0.165
Si 0.825 0.750 0.665
Si 0.325 0.250 0.835
Si 0.175 0.250 0.335
O 0.786 0.964 0.093
O 0.714 0.964 0.593
O 0.347 0.750 0.161
O 0.726 0.750 0.812
O 0.774 0.750 0.312
O 0.153 0.750 0.661
O 0.786 0.536 0.093
O 0.714 0.536 0.593
O 0.214 0.464 0.907
O 0.286 0.464 0.407
O 0.226 0.250 0.688
O 0.847 0.250 0.339
O 0.653 0.250 0.839
O 0.274 0.250 0.188
O 0.214 0.036 0.907
O 0.286 0.036 0.407

***

C | The following is a DFT calculation (PBE+U) of a geometry-optimized Li2FeSiO4 structure.

Results
Space group: Pna2_1
Total moment (μB/cell): 16.000

abc: 5.058 6.296 11.011
angles: 90.00 90.00 90.00
Element x y z (fractional)
Li 0.265 0.749 0.923
Li 0.764 0.503 0.841
Li 0.264 0.003 0.659
Li 0.765 0.249 0.577
Li 0.265 0.751 0.423
Li 0.764 0.997 0.341
Li 0.264 0.497 0.159
Li 0.765 0.251 0.077
Fe 0.263 0.490 0.667
Fe 0.263 0.010 0.167
Fe 0.763 0.990 0.833
Fe 0.763 0.510 0.333
Si 0.258 0.251 0.912
Si 0.758 0.751 0.588
Si 0.258 0.249 0.412
Si 0.758 0.749 0.088
O 0.868 0.753 0.946
O 0.932 0.251 0.912
O 0.364 0.471 0.844
O 0.358 0.036 0.838
O 0.864 0.971 0.656
O 0.858 0.536 0.662
O 0.432 0.751 0.588
O 0.368 0.253 0.554
O 0.868 0.747 0.446
O 0.932 0.249 0.412
O 0.364 0.029 0.344
O 0.358 0.464 0.338
O 0.864 0.529 0.156
O 0.858 0.964 0.162
O 0.432 0.749 0.088
O 0.368 0.247 0.054

***

The structure with the least stability is A.